1.
Here is a relaxed LiFeF3 crystal from the Materials Project. Energies are from PBE+U.

Geometry as POSCAR:
```
LiFeF3
1.0
5.3931 0.0000 0.0000
0.0000 3.0578 0.0000
0.0000 0.0000 14.6871
Li Fe F
4 4 12
Direct
0.0755 0.2500 0.1761
0.4245 0.7500 0.6761
0.5755 0.2500 0.3239
0.9245 0.7500 0.8239
0.1017 0.2500 0.4082
0.3983 0.7500 0.9082
0.6017 0.2500 0.0918
0.8983 0.7500 0.5918
0.0827 0.7500 0.7078
0.1332 0.2500 0.8778
0.1577 0.2500 0.5466
0.3423 0.7500 0.0466
0.3668 0.7500 0.3778
0.4173 0.2500 0.2078
0.5827 0.7500 0.7922
0.6332 0.2500 0.6222
0.6577 0.2500 0.9534
0.8423 0.7500 0.4534
0.8668 0.7500 0.1222
0.9173 0.2500 0.2922
```

Output
ΔE_f = -2.72 eV/atom
space group = No. 62
E = -0.1918 Ha/atom
V = 12.1 Å³ per atom
spin magnetization = 0.80 μB/atom

=====

2.
Here is a relaxed Li3Fe2F9 crystal from the Materials Project. Energies are from PBE+U.

Geometry as POSCAR:
```
Li3Fe2F9
1.0
9.5224 0.0000 0.0000
0.0000 7.8168 0.0000
0.0000 0.0000 10.6822
Li Fe F
12 8 36
Direct
0.0160 0.2500 0.1584
0.0329 0.2500 0.4693
0.1133 0.7500 0.1514
0.3867 0.2500 0.6514
0.4671 0.7500 0.9693
0.4840 0.7500 0.6584
0.5160 0.2500 0.3416
0.5329 0.2500 0.0307
0.6133 0.7500 0.3486
0.8867 0.2500 0.8486
0.9671 0.7500 0.5307
0.9840 0.7500 0.8416
0.2268 0.0605 0.9319
0.2268 0.4395 0.9319
0.2732 0.5605 0.4319
0.2732 0.9395 0.4319
0.7268 0.0605 0.5681
0.7268 0.4395 0.5681
0.7732 0.5605 0.0681
0.7732 0.9395 0.0681
0.0761 0.2500 0.9756
0.0948 0.5525 0.8314
0.0948 0.9475 0.8314
0.1074 0.0604 0.3911
0.1074 0.4396 0.3911
0.1625 0.7500 0.5270
0.1931 0.5523 0.0841
0.1931 0.9477 0.0841
0.2320 0.7500 0.3038
0.2680 0.2500 0.8038
0.3069 0.0523 0.5841
0.3069 0.4477 0.5841
0.3375 0.2500 0.0270
0.3926 0.5604 0.8911
0.3926 0.9396 0.8911
0.4052 0.0525 0.3314
0.4052 0.4475 0.3314
0.4239 0.7500 0.4756
0.5761 0.2500 0.5244
0.5948 0.5525 0.6686
0.5948 0.9475 0.6686
0.6074 0.0604 0.1089
0.6074 0.4396 0.1089
0.6625 0.7500 0.9730
0.6931 0.5523 0.4159
0.6931 0.9477 0.4159
0.7320 0.7500 0.1962
0.7680 0.2500 0.6962
0.8069 0.0523 0.9159
0.8069 0.4477 0.9159
0.8375 0.2500 0.4730
0.8926 0.5604 0.6089
0.8926 0.9396 0.6089
0.9052 0.0525 0.1686
0.9052 0.4475 0.1686
0.9239 0.7500 0.0244
```

Output
ΔE_f = -2.80 eV/atom
space group = No. 62
E = -0.1849 Ha/atom
V = 14.2 Å³ per atom
spin magnetization = 0.71 μB/atom

=====

3.
Here is a relaxed Li2FeF5 crystal from the Materials Project. Energies are from PBE+U.

Geometry as POSCAR:
```
Li2FeF5
1.0
7.4239 0.0000 0.0000
0.0000 5.4650 0.0000
0.0000 0.0000 9.5985
Li Fe F
8 4 20
Direct
0.0669 0.2500 0.2194
0.0856 0.2500 0.9301
0.4144 0.7500 0.4301
0.4331 0.7500 0.7194
0.5669 0.2500 0.2806
0.5856 0.2500 0.5699
0.9144 0.7500 0.0699
0.9331 0.7500 0.7806
0.1826 0.2500 0.5487
0.3174 0.7500 0.0487
0.6826 0.2500 0.9513
0.8174 0.7500 0.4513
0.0000 0.0000 0.5000
0.0000 0.5000 0.5000
0.1114 0.2500 0.7379
0.1360 0.0036 0.0829
0.1360 0.4964 0.0829
0.2372 0.7500 0.8525
0.2628 0.2500 0.3525
0.3640 0.5036 0.5829
0.3640 0.9964 0.5829
0.3886 0.7500 0.2379
0.5000 0.0000 0.0000
0.5000 0.5000 0.0000
0.6114 0.2500 0.7621
0.6360 0.0036 0.4171
0.6360 0.4964 0.4171
0.7372 0.7500 0.6475
0.7628 0.2500 0.1475
0.8640 0.5036 0.9171
0.8640 0.9964 0.9171
0.8886 0.7500 0.2621
```

Output
ΔE_f = -2.87 eV/atom
space group = No. 62
E = -0.1850 Ha/atom
V = 12.2 Å³ per atom
spin magnetization = 0.62 μB/atom

=====

4.
Here is a relaxed LiFeF3 crystal from the Materials Project. Energies are from PBE+U.

Geometry as POSCAR:
```
LiFeF3
1.0
5.3290 0.0000 0.0000
0.0000 8.0927 0.0000
0.0000 0.0000 5.0487
Li Fe F
4 4 12
Direct
0.0000 0.0000 0.0000
0.0000 0.5000 0.0000
0.5000 0.0000 0.5000
0.5000 0.5000 0.5000
0.0744 0.2500 0.4593
0.4256 0.7500 0.9593
0.5744 0.2500 0.0407
0.9256 0.7500 0.5407
0.0749 0.7500 0.1672
0.2032 0.5898 0.7037
0.2032 0.9102 0.7037
0.2968 0.0898 0.2037
0.2968 0.4102 0.2037
0.4251 0.2500 0.6672
0.5749 0.7500 0.3328
0.7032 0.5898 0.7963
0.7032 0.9102 0.7963
0.7968 0.0898 0.2963
0.7968 0.4102 0.2963
0.9251 0.2500 0.8328
```

Output
ΔE_f = -2.76 eV/atom
space group = No. 62
E = -0.1930 Ha/atom
V = 10.9 Å³ per atom
spin magnetization = 0.80 μB/atom

=====

5.
Here is a relaxed LiFeF3 crystal from the Materials Project. Energies are from PBE+U.

Geometry as POSCAR:
```
LiFeF3
1.0
7.0210 0.0000 0.0000
-0.0119 7.2366 0.0000
-1.7632 -0.6135 7.6505
Li Fe F
6 6 18
Direct
0.0738 0.2451 0.3365
0.2661 0.4536 0.0820
0.4065 0.7584 0.6693
0.5935 0.2416 0.3307
0.7339 0.5464 0.9180
0.9262 0.7549 0.6635
0.0753 0.7456 0.2736
0.2389 0.9601 0.9626
0.4372 0.2604 0.7359
0.5628 0.7396 0.2641
0.7611 0.0399 0.0374
0.9247 0.2544 0.7264
0.0940 0.0069 0.1766
0.0999 0.4705 0.2434
0.1496 0.2302 0.5791
0.1809 0.8116 0.7304
0.2219 0.2483 0.9168
0.2683 0.7090 0.0769
0.3658 0.7782 0.4295
0.4804 0.5354 0.7690
0.4988 0.9958 0.8251
0.5012 0.0042 0.1749
0.5196 0.4646 0.2310
0.6342 0.2218 0.5705
0.7317 0.2910 0.9231
0.7781 0.7517 0.0832
0.8191 0.1884 0.2696
0.8504 0.7698 0.4209
0.9001 0.5295 0.7566
0.9060 0.9931 0.8234
```

Output
ΔE_f = -2.75 eV/atom
space group = No. 2
E = -0.1927 Ha/atom
V = 13.0 Å³ per atom
spin magnetization = 0.80 μB/atom

=====

6.
Here is a relaxed LiFeF3 crystal from the Materials Project. Energies are from PBE+U.

Geometry as POSCAR:
```
LiFeF3
1.0
5.3303 0.0000 0.0000
0.0000 7.8961 0.0000
0.0000 0.0000 5.3534
Li Fe F
4 4 12
Direct
0.0248 0.2500 0.0165
0.4752 0.7500 0.5165
0.5248 0.2500 0.4835
0.9752 0.7500 0.9835
0.0000 0.0000 0.5000
0.0000 0.5000 0.5000
0.5000 0.0000 0.0000
0.5000 0.5000 0.0000
0.1053 0.7500 0.6336
0.1700 0.5746 0.1632
0.1700 0.9254 0.1632
0.3300 0.0746 0.6632
0.3300 0.4254 0.6632
0.3947 0.2500 0.1336
0.6053 0.7500 0.8664
0.6700 0.5746 0.3368
0.6700 0.9254 0.3368
0.8300 0.0746 0.8368
0.8300 0.4254 0.8368
0.8947 0.2500 0.3664
```

Output
ΔE_f = -2.78 eV/atom
space group = No. 62
E = -0.1939 Ha/atom
V = 11.3 Å³ per atom
spin magnetization = 0.80 μB/atom

=====

Ρ values (in g/cm³) by entry order: 3.28 2.54 2.81 3.65 3.07 3.53.
ΔE to the lowest computed polymorph values (in meV/atom) by entry order: 73 9 44 40 50 17.